Material: LiVF3
Method: DFT, GGA+U
State: relaxed

* total magnetic moment: 3.00 μB/f.u.
* V: 11.79 Å³ per atom
* energy of formation from the pure elements: -3.04 eV/atom
* MP2020-corrected energy: -255.63 eV per cell
* calculated density: 3.23 Mg/m³

```
data_LiVF3
_cell_length_a 5.005
_cell_length_b 8.829
_cell_length_c 10.676
_cell_angle_alpha 90.00
_cell_angle_beta 90.00
_cell_angle_gamma 90.00
_space_group_name_H-M_alt 'P c c n'
_space_group_IT_number 56
loop_
_space_group_symop_operation_xyz
'x,y,z'
'-x,-y,-z'
'-x+1/2,-y+1/2,z'
'x+1/2,y+1/2,-z'
'x+1/2,-y,-z+1/2'
'-x+1/2,y,z+1/2'
'-x,y+1/2,-z+1/2'
'x,-y+1/2,z+1/2'
loop_
_atom_site_label
_atom_site_fract_x
_atom_site_fract_y
_atom_site_fract_z
_atom_site_occupancy
Li1 0.004 0.214 0.101 1
V1 0.007 0.086 0.364 1
F1 0.198 0.095 0.543 1
F2 0.224 0.585 0.303 1
F3 0.250 0.250 0.272 1
F4 0.250 0.750 0.045 1
```

---

Material: NaFeO2
Method: DFT, GGA+U
State: relaxed

* total magnetic moment: 5.00 μB/f.u.
* V: 10.12 Å³ per atom
* energy of formation from the pure elements: -1.72 eV/atom
* MP2020-corrected energy: -53.13 eV per cell
* calculated density: 4.55 Mg/m³

```
data_NaFeO2
_cell_length_a 2.9578
_cell_length_b 2.9578
_cell_length_c 10.6827
_cell_angle_alpha 90.00
_cell_angle_beta 90.00
_cell_angle_gamma 120.00
_space_group_name_H-M_alt 'P 63/m m c'
_space_group_IT_number 194
_space_group_name_Hall '-P 6c 2c'
loop_
_atom_site_label
_atom_site_fract_x
_atom_site_fract_y
_atom_site_fract_z
_atom_site_occupancy
Na1 0.3333 0.6667 0.2500 1
Fe1 0.0000 0.0000 0.0000 1
O1 0.3333 0.6667 0.5960 1
```